1.
Ba3TmIrRuO9 | PBE | optimized geometry

Values from the calculation:
Theoretical density ... 7.61 g/cm3
Corrected total energy (MP2020 scheme) ... -224.0 eV/cell
ΔH_f (0 K) ... -2.608 eV per atom
VASP energy ... -7.05 eV/atom
M_tot ... 2.03 μB/f.u.

Unit cell a=5.9264 b=5.9264 c=14.6104 alpha=90.00 beta=90.00 gamma=120.00
Space group P6_3mc (No. 186)
One atom of each set of equivalent atoms:
Ba 0.0000 0.0000 0.0000
Ba 0.3333 0.6667 0.1563
Ba 0.3333 0.6667 0.8441
Tm 0.0000 0.0000 0.2509
Ir 0.3333 0.6667 0.4136
Ru 0.3333 0.6667 0.5879
O 0.0195 0.5098 0.5005
O 0.1744 0.3489 0.3359
O 0.1753 0.3506 0.6632

2.
Hf2CuGe4 | PBE | optimized geometry

Values from the calculation:
Theoretical density ... 9.83 g/cm3
ΔH_f (0 K) ... -0.373 eV per atom
VASP energy ... -6.45 eV/atom
M_tot ... 0.00 μB/f.u.

Unit cell a=3.820 b=33.141 c=3.795 alpha=90.00 beta=90.00 gamma=90.00
Space group Cmcm (No. 63)
One atom of each set of equivalent atoms:
Hf 0.000 0.047 0.250
Hf 0.000 0.322 0.250
Cu 0.000 0.250 0.750
Ge 0.000 0.113 0.750
Ge 0.000 0.201 0.250
Ge 0.000 0.387 0.750
Ge 0.000 0.472 0.250

3.
Ba5Ga6H2 | PBE | optimized geometry

Values from the calculation:
Theoretical density ... 4.81 g/cm3
Maximum piezoelectric response ... 0.02 C/m2
Corrected total energy (MP2020 scheme) ... -82.3 eV/cell
ΔH_f (0 K) ... -0.507 eV per atom
VASP energy ... -3.14 eV/atom
M_tot ... 0.01 μB/f.u.

Unit cell a=7.8075 b=7.8075 c=14.4681 alpha=90.00 beta=90.00 gamma=120.00
Space group P3c1 (No. 158)
One atom of each set of equivalent atoms:
Ba 0.0000 0.0000 0.0000
Ba 0.0242 0.3347 0.2322
Ba 0.3333 0.6667 0.4675
Ga 0.4589 0.1405 0.9031
Ga 0.4748 0.1256 0.5585
H 0.0000 0.0000 0.1878
H 0.3333 0.6667 0.2855